Record 1
Here is LiTiFeO4 after structural relaxation from the Materials Project database. Energies are from PBE with a Hubbard U.

Structure (CIF):
```
data_LiTiFeO4
_cell_length_a 3.953
_cell_length_b 3.991
_cell_length_c 5.444
_cell_angle_alpha 111.45
_cell_angle_beta 111.21
_cell_angle_gamma 90.02
_space_group_name_H-M_alt 'P 1'
_space_group_IT_number 1
loop_
_space_group_symop_operation_xyz
'x,y,z'
loop_
_atom_site_label
_atom_site_type_symbol
_atom_site_fract_x
_atom_site_fract_y
_atom_site_fract_z
_atom_site_occupancy
Li1 Li 0.000 0.000 0.000 1
Ti1 Ti 0.266 0.719 0.451 1
Fe1 Fe 0.469 0.469 0.938 1
O1 O 0.012 0.514 0.026 1
O2 O 0.256 0.252 0.499 1
O3 O 0.439 0.939 0.875 1
O4 O 0.693 0.695 0.388 1
```

Properties
relative energy among the computed polymorphs = 0.052 eV per atom

=====

Record 2
Here is Li3MgNiO4 after structural relaxation from the Materials Project database. Energies are from PBE with a Hubbard U.

Structure (CIF):
```
data_Li3MgNiO4
_cell_length_a 10.333
_cell_length_b 10.333
_cell_length_c 14.239
_cell_angle_alpha 90.00
_cell_angle_beta 90.00
_cell_angle_gamma 90.00
_space_group_name_H-M_alt 'I 41/a'
_space_group_IT_number 88
loop_
_space_group_symop_operation_xyz
'x,y,z'
'-x,-y,-z'
'-y+3/4,x+1/4,z+1/4'
'y+3/4,-x+1/4,-z+1/4'
'-x+1/2,-y,z+1/2'
'x+1/2,y,-z+1/2'
'y+3/4,-x+3/4,z+3/4'
'-y+3/4,x+3/4,-z+3/4'
'x+1/2,y+1/2,z+1/2'
'-x+1/2,-y+1/2,-z+1/2'
'-y+1/4,x+3/4,z+3/4'
'y+1/4,-x+3/4,-z+3/4'
'-x,-y+1/2,z'
'x,y+1/2,-z'
'y+1/4,-x+1/4,z+1/4'
'-y+1/4,x+1/4,-z+1/4'
loop_
_atom_site_label
_atom_site_type_symbol
_atom_site_fract_x
_atom_site_fract_y
_atom_site_fract_z
_atom_site_occupancy
Li1 Li 0.004 0.079 0.066 1
Li2 Li 0.005 0.091 0.815 1
Li3 Li 0.006 0.092 0.558 1
Mg1 Mg 0.011 0.085 0.311 1
Ni1 Ni 0.247 0.000 0.687 1
O1 O 0.085 0.089 0.939 1
O2 O 0.088 0.082 0.688 1
O3 O 0.088 0.083 0.436 1
O4 O 0.094 0.082 0.188 1
```

Properties
total DFT energy (no corrections) = -5.04 eV per atom

=====

Record 3
Here is Li3Mn4O8 after structural relaxation from the Materials Project database. Energies are from PBE with a Hubbard U.

Structure (CIF):
```
data_Li3Mn4O8
_cell_length_a 6.081
_cell_length_b 6.107
_cell_length_c 8.124
_cell_angle_alpha 90.66
_cell_angle_beta 90.44
_cell_angle_gamma 93.30
_space_group_name_H-M_alt 'P -1'
_space_group_IT_number 2
loop_
_space_group_symop_operation_xyz
'x,y,z'
'-x,-y,-z'
loop_
_atom_site_label
_atom_site_type_symbol
_atom_site_fract_x
_atom_site_fract_y
_atom_site_fract_z
_atom_site_occupancy
Li1 Li 0.000 0.000 0.000 1
Li2 Li 0.000 0.000 0.500 1
Li3 Li 0.240 0.759 0.250 1
Li4 Li 0.500 0.500 0.000 1
Li5 Li 0.500 0.500 0.500 1
Mn1 Mn 0.000 0.500 0.500 1
Mn2 Mn 0.249 0.750 0.750 1
Mn3 Mn 0.250 0.252 0.250 1
Mn4 Mn 0.253 0.250 0.749 1
Mn5 Mn 0.500 0.000 0.000 1
O1 O 0.016 0.968 0.751 1
O2 O 0.019 0.507 0.739 1
O3 O 0.221 0.282 0.492 1
O4 O 0.229 0.731 0.510 1
O5 O 0.269 0.770 0.989 1
O6 O 0.281 0.218 0.007 1
O7 O 0.480 0.536 0.749 1
O8 O 0.481 0.994 0.761 1
```

Properties
relative energy among the computed polymorphs = 0.030 eV per atom

=====

Record 4
Here is Co5Bi8O20 after structural relaxation from the Materials Project database. Energies are from PBE with a Hubbard U.

Structure (CIF):
```
data_Co5Bi8O20
_cell_length_a 8.254
_cell_length_b 8.573
_cell_length_c 8.789
_cell_angle_alpha 112.03
_cell_angle_beta 107.55
_cell_angle_gamma 106.49
_space_group_name_H-M_alt 'P 1'
_space_group_IT_number 1
loop_
_space_group_symop_operation_xyz
'x,y,z'
loop_
_atom_site_label
_atom_site_type_symbol
_atom_site_fract_x
_atom_site_fract_y
_atom_site_fract_z
_atom_site_occupancy
Co1 Co 0.000 0.000 0.000 1
Co2 Co 0.103 0.453 0.649 1
Co3 Co 0.309 0.479 0.377 1
Co4 Co 0.486 0.163 0.265 1
Co5 Co 0.673 0.851 0.164 1
Bi1 Bi 0.148 0.052 0.422 1
Bi2 Bi 0.178 0.701 0.122 1
Bi3 Bi 0.342 0.358 0.955 1
Bi4 Bi 0.389 0.886 0.780 1
Bi5 Bi 0.672 0.031 0.566 1
Bi6 Bi 0.687 0.532 0.777 1
Bi7 Bi 0.838 0.311 0.104 1
Bi8 Bi 0.867 0.674 0.498 1
O1 O 0.098 0.195 0.245 1
O2 O 0.152 0.909 0.623 1
O3 O 0.154 0.525 0.493 1
O4 O 0.171 0.462 0.152 1
O5 O 0.224 0.987 0.050 1
O6 O 0.228 0.565 0.900 1
O7 O 0.246 0.316 0.661 1
O8 O 0.454 0.799 0.545 1
O9 O 0.499 0.425 0.344 1
O10 O 0.501 0.176 0.500 1
O11 O 0.505 0.827 0.261 1
O12 O 0.528 0.191 0.899 1
O13 O 0.597 0.586 0.037 1
O14 O 0.644 0.055 0.153 1
O15 O 0.839 0.087 0.900 1
O16 O 0.844 0.836 0.055 1
O17 O 0.858 0.787 0.754 1
O18 O 0.862 0.945 0.411 1
O19 O 0.874 0.464 0.935 1
O20 O 0.885 0.473 0.600 1
```

Properties
relative energy among the computed polymorphs = 0.000 eV per atom

=====

Record 5
Here is Cr2OF2 after structural relaxation from the Materials Project database. Energies are from PBE with a Hubbard U.

Structure (CIF):
```
data_Cr2OF2
_cell_length_a 7.046
_cell_length_b 9.761
_cell_length_c 10.900
_cell_angle_alpha 90.00
_cell_angle_beta 90.00
_cell_angle_gamma 90.00
_space_group_name_H-M_alt 'F d d d'
_space_group_IT_number 70
loop_
_space_group_symop_operation_xyz
'x,y,z'
'-x,-y,-z'
'-x+1/4,-y+1/4,z'
'x+1/4,y+1/4,-z'
'x,-y+1/4,-z+1/4'
'-x,y+1/4,z+1/4'
'-x+1/4,y,-z+1/4'
'x+1/4,-y,z+1/4'
'x,y+1/2,z+1/2'
'-x,-y+1/2,-z+1/2'
'-x+1/4,-y+3/4,z+1/2'
'x+1/4,y+3/4,-z+1/2'
'x,-y+3/4,-z+3/4'
'-x,y+3/4,z+3/4'
'-x+1/4,y+1/2,-z+3/4'
'x+1/4,-y+1/2,z+3/4'
'x+1/2,y,z+1/2'
'-x+1/2,-y,-z+1/2'
'-x+3/4,-y+1/4,z+1/2'
'x+3/4,y+1/4,-z+1/2'
'x+1/2,-y+1/4,-z+3/4'
'-x+1/2,y+1/4,z+3/4'
'-x+3/4,y,-z+3/4'
'x+3/4,-y,z+3/4'
'x+1/2,y+1/2,z'
'-x+1/2,-y+1/2,-z'
'-x+3/4,-y+3/4,z'
'x+3/4,y+3/4,-z'
'x+1/2,-y+3/4,-z+1/4'
'-x+1/2,y+3/4,z+1/4'
'-x+3/4,y+1/2,-z+1/4'
'x+3/4,-y+1/2,z+1/4'
loop_
_atom_site_label
_atom_site_type_symbol
_atom_site_fract_x
_atom_site_fract_y
_atom_site_fract_z
_atom_site_occupancy
Cr1 Cr 0.000 0.000 0.000 1
O1 O 0.125 0.125 0.125 1
F1 F 0.125 0.125 0.373 1
```

Properties
relative energy among the computed polymorphs = 0.000 eV per atom